1.
! V3SnO8 (PBE with a Hubbard U, relaxed); values from VASP
! Crystal system   monoclinic
! Mass density   4.32 Mg/m³
! ΔE_f   -2.32 eV per atom
&SYSTEM
  ibrav = 0, nat = 12, ntyp = 3
/
ATOMIC_SPECIES
V 50.94 V.upf
Sn 118.71 Sn.upf
O 16.00 O.upf
ATOMIC_POSITIONS crystal
V 0.000 0.000 0.000
V 0.103 0.103 0.592
V 0.799 0.799 0.607
Sn 0.706 0.706 0.026
O 0.041 0.041 0.331
O 0.161 0.161 0.967
O 0.265 0.265 0.623
O 0.537 0.537 0.032
O 0.645 0.645 0.670
O 0.779 0.779 0.336
O 0.847 0.847 0.940
O 0.964 0.964 0.701
CELL_PARAMETERS angstrom
6.278 -1.929 0.000
6.278 1.929 0.000
-1.895 0.000 6.341

2.
! LiV6O7F5 (PBE with a Hubbard U, relaxed); values from VASP
! Crystal system   triclinic
! Mass density   4.03 Mg/m³
! E above lowest polymorph   0.037 eV/atom
! ΔE_f   -2.72 eV per atom
&SYSTEM
  ibrav = 0, nat = 19, ntyp = 4
/
ATOMIC_SPECIES
Li 6.94 Li.upf
V 50.94 V.upf
O 16.00 O.upf
F 19.00 F.upf
ATOMIC_POSITIONS crystal
Li 0.000 0.000 0.000
V 0.048 0.275 0.267
V 0.455 0.760 0.240
V 0.502 0.090 0.907
V 0.529 0.414 0.574
V 0.988 0.936 0.573
V 0.994 0.569 0.906
O 0.186 0.281 0.017
O 0.199 0.953 0.352
O 0.299 0.793 0.007
O 0.319 0.461 0.355
O 0.691 0.380 0.811
O 0.814 0.223 0.478
O 0.817 0.882 0.812
F 0.203 0.622 0.669
F 0.304 0.124 0.674
F 0.700 0.726 0.471
F 0.704 0.056 0.145
F 0.804 0.566 0.152
CELL_PARAMETERS angstrom
4.853 0.000 0.000
0.112 5.696 0.000
0.118 0.622 7.738

3.
! Na3Co2SbO6 (PBE with a Hubbard U, relaxed); values from VASP
! Mass density   4.87 Mg/m³
! E above lowest polymorph   0.015 eV/atom
! ΔE_f   -1.78 eV per atom
&SYSTEM
  ibrav = 0, nat = 24, ntyp = 4
/
ATOMIC_SPECIES
Co 58.93 Co.upf
O 16.00 O.upf
Sb 121.76 Sb.upf
Na 22.99 Na.upf
ATOMIC_POSITIONS crystal
Co 0.001 0.335 0.000
O 0.850 0.533 0.200
Sb 0.500 0.500 0.000
Na 0.759 0.413 0.501
O 0.383 0.694 0.208
O 0.383 0.375 0.207
Sb 0.000 0.000 0.000
O 0.117 0.125 0.793
O 0.883 0.875 0.207
Na 0.750 0.750 0.500
Na 0.259 0.913 0.501
Na 0.250 0.250 0.500
O 0.150 0.467 0.800
O 0.617 0.625 0.793
O 0.617 0.306 0.792
Co 0.999 0.665 0.000
O 0.883 0.194 0.208
O 0.117 0.806 0.792
Co 0.499 0.165 0.000
Na 0.241 0.587 0.499
O 0.650 0.967 0.800
Na 0.741 0.087 0.499
O 0.350 0.033 0.200
Co 0.501 0.835 0.000
CELL_PARAMETERS angstrom
3.266 3.264 -2.991
-6.154 -0.160 -6.905
-1.928 3.891 3.690

4.
! Rb2Cd2Mo3O12 (PBE with a Hubbard U, relaxed); values from VASP
! Crystal system   cubic
! Mass density   3.84 Mg/m³
! ΔE_f   -1.98 eV per atom
&SYSTEM
  ibrav = 0, nat = 76, ntyp = 4
/
ATOMIC_SPECIES
Rb 85.47 Rb.upf
Cd 112.41 Cd.upf
Mo 95.94 Mo.upf
O 16.00 O.upf
ATOMIC_POSITIONS crystal
Rb 0.053 0.053 0.053
Rb 0.181 0.319 0.681
Rb 0.319 0.681 0.181
Rb 0.447 0.947 0.553
Rb 0.553 0.447 0.947
Rb 0.681 0.181 0.319
Rb 0.819 0.819 0.819
Rb 0.947 0.553 0.447
Cd 0.100 0.900 0.400
Cd 0.165 0.665 0.835
Cd 0.335 0.335 0.335
Cd 0.400 0.100 0.900
Cd 0.600 0.600 0.600
Cd 0.665 0.835 0.165
Cd 0.835 0.165 0.665
Cd 0.900 0.400 0.100
Mo 0.020 0.214 0.377
Mo 0.123 0.980 0.714
Mo 0.214 0.377 0.020
Mo 0.286 0.623 0.520
Mo 0.377 0.020 0.214
Mo 0.480 0.786 0.877
Mo 0.520 0.286 0.623
Mo 0.623 0.520 0.286
Mo 0.714 0.123 0.980
Mo 0.786 0.877 0.480
Mo 0.877 0.480 0.786
Mo 0.980 0.714 0.123
O 0.008 0.562 0.767
O 0.013 0.066 0.325
O 0.047 0.807 0.230
O 0.062 0.733 0.992
O 0.066 0.325 0.013
O 0.094 0.833 0.757
O 0.167 0.257 0.406
O 0.175 0.987 0.566
O 0.193 0.730 0.453
O 0.230 0.047 0.807
O 0.233 0.508 0.938
O 0.243 0.594 0.667
O 0.257 0.406 0.167
O 0.267 0.492 0.438
O 0.270 0.953 0.307
O 0.307 0.270 0.953
O 0.325 0.013 0.066
O 0.333 0.743 0.906
O 0.406 0.167 0.257
O 0.434 0.675 0.513
O 0.438 0.267 0.492
O 0.453 0.193 0.730
O 0.487 0.934 0.825
O 0.492 0.438 0.267
O 0.508 0.938 0.233
O 0.513 0.434 0.675
O 0.547 0.693 0.770
O 0.562 0.767 0.008
O 0.566 0.175 0.987
O 0.594 0.667 0.243
O 0.667 0.243 0.594
O 0.675 0.513 0.434
O 0.693 0.770 0.547
O 0.730 0.453 0.193
O 0.733 0.992 0.062
O 0.743 0.906 0.333
O 0.757 0.094 0.833
O 0.767 0.008 0.562
O 0.770 0.547 0.693
O 0.807 0.230 0.047
O 0.825 0.487 0.934
O 0.833 0.757 0.094
O 0.906 0.333 0.743
O 0.934 0.825 0.487
O 0.938 0.233 0.508
O 0.953 0.307 0.270
O 0.987 0.566 0.175
O 0.992 0.062 0.733
CELL_PARAMETERS angstrom
11.485 0.000 0.000
0.000 11.485 0.000
0.000 0.000 11.485

5.
! Li6Mn3VP6O24 (PBE with a Hubbard U, relaxed); values from VASP
! Crystal system   triclinic
! Mass density   2.96 Mg/m³
! E above lowest polymorph   0.015 eV/atom
! ΔE_f   -2.59 eV per atom
&SYSTEM
  ibrav = 0, nat = 80, ntyp = 5
/
ATOMIC_SPECIES
Li 6.94 Li.upf
Mn 54.94 Mn.upf
V 50.94 V.upf
P 30.97 P.upf
O 16.00 O.upf
ATOMIC_POSITIONS crystal
Li 0.000 0.000 0.000
Li 0.000 0.392 0.066
Li 0.160 0.783 0.546
Li 0.165 0.170 0.608
Li 0.288 0.868 0.130
Li 0.371 0.363 0.980
Li 0.504 0.676 0.500
Li 0.510 0.280 0.563
Li 0.662 0.504 0.104
Li 0.665 0.891 0.041
Li 0.793 0.804 0.631
Li 0.876 0.303 0.474
Mn 0.330 0.546 0.195
Mn 0.335 0.125 0.407
Mn 0.830 0.126 0.695
Mn 0.831 0.050 0.203
Mn 0.833 0.547 0.903
Mn 0.835 0.630 0.413
V 0.330 0.617 0.696
V 0.333 0.042 0.915
P 0.042 0.830 0.800
P 0.119 0.331 0.811
P 0.179 0.184 0.151
P 0.187 0.472 0.448
P 0.478 0.685 0.955
P 0.481 0.972 0.661
P 0.545 0.842 0.298
P 0.619 0.335 0.306
P 0.685 0.203 0.942
P 0.689 0.488 0.645
P 0.978 0.702 0.165
P 0.984 0.989 0.461
O 0.009 0.493 0.470
O 0.010 0.401 0.901
O 0.032 0.215 0.740
O 0.130 0.945 0.871
O 0.151 0.762 0.709
O 0.155 0.679 0.140
O 0.166 0.980 0.454
O 0.189 0.449 0.732
O 0.218 0.062 0.061
O 0.224 0.302 0.482
O 0.226 0.492 0.327
O 0.228 0.346 0.110
O 0.251 0.251 0.870
O 0.252 0.132 0.253
O 0.277 0.589 0.517
O 0.389 0.094 0.598
O 0.408 0.631 0.851
O 0.413 0.767 0.238
O 0.426 0.847 0.993
O 0.436 0.564 0.047
O 0.442 0.804 0.625
O 0.443 0.987 0.782
O 0.483 0.961 0.381
O 0.507 0.479 0.651
O 0.510 0.179 0.969
O 0.510 0.268 0.398
O 0.531 0.452 0.234
O 0.631 0.723 0.368
O 0.655 0.910 0.207
O 0.659 0.994 0.637
O 0.660 0.693 0.952
O 0.681 0.214 0.225
O 0.714 0.195 0.818
O 0.722 0.372 0.979
O 0.724 0.613 0.554
O 0.739 0.328 0.605
O 0.753 0.412 0.364
O 0.762 0.545 0.746
O 0.782 0.082 0.002
O 0.884 0.581 0.105
O 0.905 0.906 0.745
O 0.909 0.046 0.359
O 0.935 0.827 0.500
O 0.941 0.870 0.128
O 0.947 0.110 0.553
O 0.949 0.694 0.289
O 0.982 0.708 0.883
O 0.996 0.194 0.156
CELL_PARAMETERS angstrom
8.612 0.000 0.000
0.025 8.723 0.000
0.409 0.024 12.364

6.
! Li9Mn2Co5O16 (PBE with a Hubbard U, relaxed); values from VASP
! Crystal system   triclinic
! Mass density   4.17 Mg/m³
! E above lowest polymorph   0.066 eV/atom
! ΔE_f   -1.80 eV per atom
&SYSTEM
  ibrav = 0, nat = 32, ntyp = 4
/
ATOMIC_SPECIES
Li 6.94 Li.upf
Mn 54.94 Mn.upf
Co 58.93 Co.upf
O 16.00 O.upf
ATOMIC_POSITIONS crystal
Li 0.000 0.000 0.000
Li 0.059 0.875 0.689
Li 0.186 0.626 0.060
Li 0.310 0.377 0.435
Li 0.442 0.119 0.819
Li 0.558 0.881 0.181
Li 0.690 0.623 0.565
Li 0.814 0.374 0.940
Li 0.941 0.125 0.311
Mn 0.124 0.753 0.373
Mn 0.876 0.247 0.627
Co 0.245 0.503 0.756
Co 0.381 0.237 0.120
Co 0.500 0.000 0.500
Co 0.619 0.763 0.880
Co 0.755 0.497 0.244
O 0.015 0.926 0.846
O 0.066 0.834 0.523
O 0.172 0.682 0.225
O 0.244 0.436 0.602
O 0.247 0.570 0.898
O 0.336 0.317 0.269
O 0.397 0.197 0.983
O 0.499 0.934 0.352
O 0.501 0.066 0.648
O 0.603 0.803 0.017
O 0.664 0.683 0.731
O 0.753 0.430 0.102
O 0.756 0.564 0.398
O 0.828 0.318 0.775
O 0.934 0.166 0.477
O 0.985 0.074 0.154
CELL_PARAMETERS angstrom
2.981 0.000 0.000
1.181 7.680 0.000
0.065 0.126 12.562

7.
! La4MnS6O (PBE with a Hubbard U, relaxed); values from VASP
! Crystal system   hexagonal
! Mass density   5.06 Mg/m³
! E above lowest polymorph   0.000 eV/atom
! ΔE_f   -2.46 eV per atom
! Piezoelectric modulus e_max   0.43 C/m²
&SYSTEM
  ibrav = 0, nat = 24, ntyp = 4
/
ATOMIC_SPECIES
La 138.91 La.upf
Mn 54.94 Mn.upf
S 32.06 S.upf
O 16.00 O.upf
ATOMIC_POSITIONS crystal
La 0.197 0.395 0.000
La 0.197 0.803 0.000
La 0.333 0.667 0.532
La 0.395 0.197 0.500
La 0.605 0.803 0.000
La 0.667 0.333 0.032
La 0.803 0.197 0.500
La 0.803 0.605 0.500
Mn 0.000 0.000 0.302
Mn 0.000 0.000 0.802
S 0.062 0.531 0.278
S 0.124 0.247 0.602
S 0.124 0.876 0.602
S 0.247 0.124 0.102
S 0.469 0.531 0.278
S 0.469 0.938 0.278
S 0.531 0.062 0.778
S 0.531 0.469 0.778
S 0.753 0.876 0.602
S 0.876 0.124 0.102
S 0.876 0.753 0.102
S 0.938 0.469 0.778
O 0.333 0.667 0.878
O 0.667 0.333 0.378
CELL_PARAMETERS angstrom
9.508 0.000 0.000
-4.754 8.234 0.000
0.000 0.000 6.866

8.
! Fe2P3O12 (PBE with a Hubbard U, relaxed); values from VASP
! Crystal system   trigonal
! Mass density   2.81 Mg/m³
! E above lowest polymorph   0.000 eV/atom
! ΔE_f   -2.09 eV per atom
&SYSTEM
  ibrav = 0, nat = 34, ntyp = 3
/
ATOMIC_SPECIES
Fe 55.84 Fe.upf
P 30.97 P.upf
O 16.00 O.upf
ATOMIC_POSITIONS crystal
Fe 0.141 0.141 0.141
Fe 0.354 0.354 0.354
Fe 0.646 0.646 0.646
Fe 0.859 0.859 0.859
P 0.037 0.745 0.468
P 0.255 0.532 0.963
P 0.468 0.037 0.745
P 0.532 0.963 0.255
P 0.745 0.468 0.037
P 0.963 0.255 0.532
O 0.007 0.794 0.624
O 0.111 0.887 0.268
O 0.113 0.732 0.889
O 0.156 0.230 0.516
O 0.180 0.539 0.490
O 0.206 0.376 0.993
O 0.230 0.516 0.156
O 0.268 0.111 0.887
O 0.376 0.993 0.206
O 0.461 0.510 0.820
O 0.484 0.844 0.770
O 0.490 0.180 0.539
O 0.510 0.820 0.461
O 0.516 0.156 0.230
O 0.539 0.490 0.180
O 0.624 0.007 0.794
O 0.732 0.889 0.113
O 0.770 0.484 0.844
O 0.794 0.624 0.007
O 0.820 0.461 0.510
O 0.844 0.770 0.484
O 0.887 0.268 0.111
O 0.889 0.113 0.732
O 0.993 0.206 0.376
CELL_PARAMETERS angstrom
4.245 2.451 7.507
-4.245 2.451 7.507
0.000 -4.902 7.507

What is the mass density in the sixth record?
4.17 Mg/m³

The highest ΔE_f belongs to which entry?
Na3Co2SbO6